(1)
Density functional theory data (PBE with a Hubbard U) for an optimized crystal structure of LiYMo2O8.

a b c (Å): 5.2762 6.7963 10.5142
angles (deg): 100.91 99.45 112.72
Sites, in units of the cell vectors:
Li  0.1647  0.1224  0.3743
Li  0.8353  0.8776  0.6257
Y  0.1236  0.2707  0.9388
Y  0.8764  0.7293  0.0612
Mo  0.3368  0.7995  0.8210
Mo  0.3983  0.6531  0.2956
Mo  0.6017  0.3469  0.7044
Mo  0.6632  0.2005  0.1790
O  0.1236  0.6168  0.9138
O  0.1749  0.4242  0.3424
O  0.2051  0.8200  0.2639
O  0.2078  0.0035  0.7940
O  0.2949  0.0631  0.0677
O  0.3005  0.1832  0.5691
O  0.3763  0.6766  0.6702
O  0.4806  0.5442  0.1357
O  0.5194  0.4558  0.8643
O  0.6237  0.3234  0.3298
O  0.6995  0.8168  0.4309
O  0.7051  0.9369  0.9323
O  0.7922  0.9965  0.2060
O  0.7949  0.1800  0.7361
O  0.8251  0.5758  0.6576
O  0.8764  0.3832  0.0862

Computed properties:
* energy relative to the elements: -30.1 eV/f.u.
* MP2020-corrected energy: -8.31 eV per atom
* excess energy over the best structure of this formula in the dataset: 0 meV/atom
* calculated density: 4190 kg/m³



(2)
Density functional theory data (PBE with a Hubbard U) for an optimized crystal structure of Li2Zn2Mo3O12.

a b c (Å): 5.1830 10.6779 17.8586
angles (deg): 90.00 90.00 90.00
Sites, in units of the cell vectors:
Li  0.1059  0.2500  0.2490
Li  0.2437  0.7500  0.1982
Li  0.2563  0.2500  0.6982
Li  0.3941  0.7500  0.7490
Li  0.6059  0.2500  0.2510
Li  0.7437  0.7500  0.3018
Li  0.7563  0.2500  0.8018
Li  0.8941  0.7500  0.7510
Zn  0.2451  0.0787  0.5299
Zn  0.2451  0.4213  0.5299
Zn  0.2549  0.5787  0.0299
Zn  0.2549  0.9213  0.0299
Zn  0.7451  0.0787  0.9701
Zn  0.7451  0.4213  0.9701
Zn  0.7549  0.5787  0.4701
Zn  0.7549  0.9213  0.4701
Mo  0.2223  0.0265  0.8429
Mo  0.2223  0.4735  0.8429
Mo  0.2217  0.7500  0.5571
Mo  0.2783  0.2500  0.0571
Mo  0.2777  0.5265  0.3429
Mo  0.2777  0.9735  0.3429
Mo  0.7223  0.0265  0.6571
Mo  0.7223  0.4735  0.6571
Mo  0.7217  0.7500  0.9429
Mo  0.7783  0.2500  0.4429
Mo  0.7777  0.5265  0.1571
Mo  0.7777  0.9735  0.1571
O  0.0605  0.2500  0.5070
O  0.0624  0.6134  0.1259
O  0.0624  0.8866  0.1259
O  0.0783  0.6229  0.2868
O  0.0783  0.8771  0.2868
O  0.0786  0.1149  0.0369
O  0.0786  0.3851  0.0369
O  0.0805  0.0115  0.4267
O  0.0805  0.4885  0.4267
O  0.1405  0.7500  0.6524
O  0.1460  0.6143  0.7955
O  0.1460  0.8857  0.7955
O  0.3540  0.1143  0.2955
O  0.3540  0.3857  0.2955
O  0.3595  0.2500  0.1524
O  0.4195  0.5115  0.9267
O  0.4195  0.9885  0.9267
O  0.4214  0.6149  0.5369
O  0.4214  0.8851  0.5369
O  0.4217  0.1229  0.7868
O  0.4217  0.3771  0.7868
O  0.4376  0.1134  0.6259
O  0.4376  0.3866  0.6259
O  0.4395  0.7500  0.0070
O  0.5605  0.2500  0.9930
O  0.5624  0.6134  0.3741
O  0.5624  0.8866  0.3741
O  0.5783  0.6229  0.2132
O  0.5783  0.8771  0.2132
O  0.5786  0.1149  0.4631
O  0.5786  0.3851  0.4631
O  0.5805  0.0115  0.0733
O  0.5805  0.4885  0.0733
O  0.6405  0.7500  0.8476
O  0.6460  0.6143  0.7045
O  0.6460  0.8857  0.7045
O  0.8540  0.1143  0.2045
O  0.8540  0.3857  0.2045
O  0.8595  0.2500  0.3476
O  0.9195  0.5115  0.5733
O  0.9195  0.9885  0.5733
O  0.9214  0.6149  0.9631
O  0.9214  0.8851  0.9631
O  0.9217  0.1229  0.7132
O  0.9217  0.3771  0.7132
O  0.9376  0.1134  0.8741
O  0.9376  0.3866  0.8741
O  0.9395  0.7500  0.4930

Computed properties:
* energy relative to the elements: -38.7 eV/f.u.
* MP2020-corrected energy: -7.21 eV per atom
* calculated density: 4197 kg/m³



(3)
Density functional theory data (PBE with a Hubbard U) for an optimized crystal structure of Na4LiNi5O10.

a b c (Å): 11.4114 11.4114 6.1684
angles (deg): 95.20 95.20 14.41
Sites, in units of the cell vectors:
Na  0.0977  0.0977  0.2985
Na  0.3007  0.3007  0.9010
Na  0.6993  0.6993  0.0990
Na  0.9023  0.9023  0.7015
Li  0.5000  0.5000  0.5000
Ni  0.0974  0.0974  0.7942
Ni  0.3012  0.3012  0.4031
Ni  0.5000  0.5000  0.0000
Ni  0.6988  0.6988  0.5969
Ni  0.9026  0.9026  0.2058
O  0.0034  0.0034  0.7850
O  0.1946  0.1946  0.8019
O  0.2029  0.2029  0.3930
O  0.4011  0.4011  0.4115
O  0.4047  0.4047  0.9986
O  0.5953  0.5953  0.0014
O  0.5989  0.5989  0.5885
O  0.7971  0.7971  0.6070
O  0.8054  0.8054  0.1981
O  0.9966  0.9966  0.2150

Computed properties:
* energy relative to the elements: -27.2 eV/f.u.
* MP2020-corrected energy: -5.64 eV per atom
* calculated density: 4607 kg/m³



(4)
Density functional theory data (PBE with a Hubbard U) for an optimized crystal structure of NaLiTbWO6.

a b c (Å): 5.9077 5.9077 5.9077
angles (deg): 60.00 60.00 60.00
Sites, in units of the cell vectors:
Na  0.0000  0.0000  0.0000
Li  0.5000  0.5000  0.5000
Tb  0.7500  0.7500  0.7500
W  0.2500  0.2500  0.2500
O  0.0177  0.0177  0.4823
O  0.0177  0.4823  0.0177
O  0.0177  0.4823  0.4823
O  0.4823  0.0177  0.0177
O  0.4823  0.0177  0.4823
O  0.4823  0.4823  0.0177

Computed properties:
* energy relative to the elements: -24.2 eV/f.u.
* MP2020-corrected energy: -7.47 eV per atom
* calculated density: 5338 kg/m³



(5)
Density functional theory data (PBE with a Hubbard U) for an optimized crystal structure of Na2Li8U11W2O44.

a b c (Å): 6.9956 11.3234 12.2986
angles (deg): 99.02 106.27 90.08
Sites, in units of the cell vectors:
Na  0.0053  0.3043  0.4944
Na  0.9947  0.6957  0.5056
Li  0.1817  0.4294  0.9991
Li  0.2048  0.7345  0.0099
Li  0.2682  0.1199  0.9846
Li  0.4800  0.8610  0.5141
Li  0.5200  0.1390  0.4859
Li  0.7318  0.8801  0.0154
Li  0.7952  0.2655  0.9901
Li  0.8183  0.5706  0.0009
U  0.1979  0.9551  0.2266
U  0.2143  0.2794  0.2477
U  0.2227  0.6423  0.2590
U  0.2926  0.2313  0.7668
U  0.3039  0.8583  0.7773
U  0.5000  0.5000  0.5000
U  0.6961  0.1417  0.2227
U  0.7074  0.7687  0.2332
U  0.7773  0.3577  0.7410
U  0.7857  0.7206  0.7523
U  0.8021  0.0449  0.7734
W  0.2826  0.5442  0.7737
W  0.7174  0.4558  0.2263
O  0.0301  0.1192  0.2496
O  0.0379  0.9106  0.0762
O  0.0459  0.8033  0.2700
O  0.0847  0.4112  0.7138
O  0.0880  0.6586  0.7169
O  0.0942  0.3025  0.0963
O  0.1034  0.5820  0.1022
O  0.2625  0.1920  0.6110
O  0.2712  0.8463  0.6199
O  0.2853  0.5668  0.9205
O  0.2871  0.5081  0.5650
O  0.2880  0.4722  0.3261
O  0.2981  0.0520  0.8083
O  0.3062  0.2840  0.9214
O  0.3385  0.8521  0.9327
O  0.3401  0.2765  0.4054
O  0.3526  0.6890  0.4194
O  0.3562  0.1087  0.1803
O  0.3600  0.9880  0.3794
O  0.3655  0.7893  0.1949
O  0.4722  0.4204  0.7732
O  0.4756  0.6677  0.7765
O  0.5244  0.3323  0.2235
O  0.5278  0.5796  0.2268
O  0.6345  0.2107  0.8051
O  0.6400  0.0120  0.6206
O  0.6438  0.8913  0.8197
O  0.6474  0.3110  0.5806
O  0.6599  0.7235  0.5946
O  0.6615  0.1479  0.0673
O  0.6938  0.7160  0.0786
O  0.7019  0.9480  0.1917
O  0.7120  0.5278  0.6739
O  0.7129  0.4919  0.4350
O  0.7147  0.4332  0.0795
O  0.7288  0.1537  0.3801
O  0.7375  0.8080  0.3890
O  0.8966  0.4180  0.8978
O  0.9058  0.6975  0.9037
O  0.9120  0.3414  0.2831
O  0.9153  0.5888  0.2862
O  0.9541  0.1967  0.7300
O  0.9621  0.0894  0.9238
O  0.9699  0.8808  0.7504

Computed properties:
* energy relative to the elements: -213.1 eV/f.u.
* MP2020-corrected energy: -8.94 eV per atom
* calculated density: 6824 kg/m³



(6)
Density functional theory data (PBE with a Hubbard U) for an optimized crystal structure of NaLi15V16O48.

a b c (Å): 10.1359 10.1359 12.8126
angles (deg): 97.52 97.52 50.43
Sites, in units of the cell vectors:
Na  0.0000  0.0000  0.0000
Li  0.0838  0.6659  0.1244
Li  0.1173  0.3824  0.2498
Li  0.1906  0.0595  0.3751
Li  0.2588  0.2400  0.7499
Li  0.3341  0.9162  0.8756
Li  0.3696  0.6304  0.0000
Li  0.4401  0.3101  0.1248
Li  0.5098  0.4902  0.5000
Li  0.5825  0.1671  0.6248
Li  0.6176  0.8827  0.7502
Li  0.6899  0.5599  0.8752
Li  0.7600  0.7412  0.2501
Li  0.8329  0.4175  0.3752
Li  0.8673  0.1327  0.5000
Li  0.9405  0.8094  0.6249
V  0.0550  0.6613  0.8509
V  0.0828  0.6968  0.3971
V  0.1173  0.3518  0.9777
V  0.1471  0.3827  0.5219
V  0.3032  0.9172  0.6029
V  0.3387  0.9450  0.1491
V  0.3674  0.6026  0.7273
V  0.3974  0.6326  0.2727
V  0.5522  0.1674  0.3535
V  0.5795  0.1979  0.8955
V  0.6173  0.8529  0.4781
V  0.6482  0.8827  0.0223
V  0.8021  0.4205  0.1045
V  0.8326  0.4478  0.6465
V  0.8654  0.1050  0.2308
V  0.8950  0.1346  0.7692
O  0.0049  0.6509  0.2862
O  0.0110  0.9015  0.1873
O  0.0342  0.4072  0.6320
O  0.0924  0.4615  0.8653
O  0.0979  0.0629  0.5640
O  0.0985  0.9890  0.8127
O  0.1007  0.3044  0.4114
O  0.1067  0.5842  0.5071
O  0.1095  0.7256  0.9641
O  0.1661  0.6423  0.7415
O  0.1867  0.1512  0.1847
O  0.1955  0.3991  0.0880
O  0.2636  0.1469  0.9390
O  0.2744  0.8905  0.0359
O  0.2841  0.6567  0.3823
O  0.3433  0.7159  0.6177
O  0.3473  0.3131  0.3139
O  0.3491  0.9951  0.7138
O  0.3510  0.5546  0.1618
O  0.3522  0.2371  0.5611
O  0.3577  0.8339  0.2585
O  0.4158  0.8933  0.4929
O  0.4353  0.4023  0.9361
O  0.4454  0.6490  0.8382
O  0.5012  0.1514  0.7853
O  0.5132  0.3978  0.6879
O  0.5385  0.9076  0.1347
O  0.5928  0.9658  0.3680
O  0.5977  0.5647  0.0639
O  0.5991  0.2457  0.4637
O  0.6009  0.8045  0.9120
O  0.6022  0.4868  0.3121
O  0.6091  0.0835  0.0067
O  0.6652  0.1426  0.2435
O  0.6869  0.6527  0.6861
O  0.6956  0.8993  0.5886
O  0.7543  0.4009  0.5363
O  0.7629  0.6478  0.4389
O  0.7739  0.1665  0.8762
O  0.8335  0.2261  0.1238
O  0.8486  0.4988  0.2147
O  0.8488  0.8133  0.8153
O  0.8513  0.0539  0.6589
O  0.8531  0.7364  0.0610
O  0.8574  0.3348  0.7565
O  0.9165  0.3909  0.9933
O  0.9371  0.9021  0.4360
O  0.9461  0.1487  0.3412

Computed properties:
* energy relative to the elements: -192.3 eV/f.u.
* MP2020-corrected energy: -7.56 eV per atom
* calculated density: 2828 kg/m³



| no. | size of the total moment (μB/cell) |
| --- | --- |
| 1 | 0.00 |
| 2 | 0.00 |
| 3 | 5.00 |
| 4 | 1.00 |
| 5 | 0.00 |
| 6 | 0.00 |